Entry from Materials Project: crystalline Mg14VSiO16 at its relaxed geometry (PBE with a Hubbard U).

total magnetization = 3.00 μB/f.u.
MP2020-corrected energy = -6.4514 eV per atom
ΔH_f (0 K) = -90.4 eV/f.u.

Cell: 8.598 8.598 4.299 Å, 90.00 90.00 90.00°
Space group P4/mmm (No. 123)
Asymmetric unit:
Mg (0.000, 0.251, 0.000) x4
Mg (0.000, 0.500, 0.500) x2
Mg (0.247, 0.500, 0.000) x4
Mg (0.249, 0.249, 0.500) x4
V (0.000, 0.000, 0.500) x1
Si (0.500, 0.500, 0.500) x1
O (0.000, 0.000, 0.000) x1
O (0.000, 0.254, 0.500) x4
O (0.000, 0.500, 0.000) x2
O (0.239, 0.500, 0.500) x4
O (0.250, 0.250, 0.000) x4
O (0.500, 0.500, 0.000) x1

---

Entry from Materials Project: crystalline Mg3V2Si3O12 at its relaxed geometry (PBE with a Hubbard U).

total magnetization = 4.00 μB/f.u.
MP2020-corrected energy = -7.9327 eV per atom
ΔH_f (0 K) = -60.0 eV/f.u.

Cell: 11.834 11.834 11.834 Å, 90.00 90.00 90.00°
Space group Ia-3d (No. 230)
Asymmetric unit:
Mg (0.000, 0.250, 0.125) x24
V (0.000, 0.000, 0.000) x16
Si (0.000, 0.250, 0.375) x24
O (0.034, 0.054, 0.658) x96

---

Entry from Materials Project: crystalline Mg6VSiO8 at its relaxed geometry (PBE with a Hubbard U).

total magnetization = 2.99 μB/f.u.
MP2020-corrected energy = -6.5786 eV per atom
ΔH_f (0 K) = -41.6 eV/f.u.

Cell: 4.342 4.342 8.704 Å, 90.00 90.00 90.00°
Space group P4/mmm (No. 123)
Asymmetric unit:
Mg (0.000, 0.000, 0.000) x1
Mg (0.000, 0.000, 0.500) x1
Mg (0.000, 0.500, 0.248) x4
V (0.500, 0.500, 0.000) x1
Si (0.500, 0.500, 0.500) x1
O (0.000, 0.000, 0.250) x2
O (0.000, 0.500, 0.000) x2
O (0.000, 0.500, 0.500) x2
O (0.500, 0.500, 0.245) x2

---

Entry from Materials Project: crystalline Mg3V2Si4O14 at its relaxed geometry (PBE with a Hubbard U).

total magnetization = 4.00 μB/f.u.
MP2020-corrected energy = -7.9577 eV per atom
ΔH_f (0 K) = -69.1 eV/f.u.

Cell: 16.824 7.687 9.868 Å, 90.00 123.95 90.00°
Space group C2/c (No. 15)
Asymmetric unit:
Mg (0.000, 0.111, 0.250) x4
Mg (0.177, 0.405, 0.405) x8
V (0.000, 0.298, 0.750) x4
V (0.000, 0.500, 0.000) x4
Si (0.121, 0.141, 0.104) x8
Si (0.183, 0.217, 0.709) x8
O (0.049, 0.082, 0.915) x8
O (0.073, 0.274, 0.174) x8
O (0.082, 0.461, 0.923) x8
O (0.100, 0.347, 0.687) x8
O (0.160, 0.019, 0.741) x8
O (0.200, 0.209, 0.562) x8
O (0.219, 0.215, 0.123) x8

---

Entry from Materials Project: crystalline Mg3Si4W2O14 at its relaxed geometry (PBE with a Hubbard U).

total magnetization = 6.00 μB/f.u.
MP2020-corrected energy = -8.0105 eV per atom
ΔH_f (0 K) = -62.6 eV/f.u.

Cell: 17.461 7.663 10.104 Å, 90.00 123.78 90.00°
Space group C2/c (No. 15)
Asymmetric unit:
Mg (0.000, 0.121, 0.250) x4
Mg (0.176, 0.393, 0.397) x8
Si (0.121, 0.133, 0.101) x8
Si (0.189, 0.223, 0.714) x8
W (0.000, 0.306, 0.750) x4
W (0.000, 0.500, 0.000) x4
O (0.053, 0.075, 0.915) x8
O (0.072, 0.265, 0.166) x8
O (0.082, 0.498, 0.411) x8
O (0.113, 0.357, 0.703) x8
O (0.157, 0.027, 0.732) x8
O (0.207, 0.213, 0.572) x8
O (0.213, 0.222, 0.120) x8

---

Entry from Materials Project: crystalline MgSi4WO10 at its relaxed geometry (PBE with a Hubbard U).

total magnetization = 3.95 μB/f.u.
MP2020-corrected energy = -8.2223 eV per atom
ΔH_f (0 K) = -45.8 eV/f.u.

Cell: 7.453 7.453 15.011 Å, 90.00 90.00 90.00°
Space group P4/ncc (No. 130, origin choice 2)
Asymmetric unit:
Mg (0.250, 0.750, 0.000) x4
Si (0.009, 0.597, 0.147) x16
W (0.250, 0.250, 0.074) x4
O (0.006, 0.187, 0.871) x16
O (0.032, 0.659, 0.425) x16
O (0.062, 0.562, 0.250) x8

---

Entry from Materials Project: crystalline Mg3Si3W2O12 at its relaxed geometry (PBE with a Hubbard U).

total magnetization = 6.00 μB/f.u.
MP2020-corrected energy = -8.0325 eV per atom
ΔH_f (0 K) = -54.3 eV/f.u.

Cell: 12.096 12.096 12.096 Å, 90.00 90.00 90.00°
Space group Ia-3d (No. 230)
Asymmetric unit:
Mg (0.000, 0.250, 0.125) x24
Si (0.000, 0.250, 0.375) x24
W (0.000, 0.000, 0.000) x16
O (0.036, 0.058, 0.664) x96

---

Entry from Materials Project: crystalline Sm4MgV4O12 at its relaxed geometry (PBE with a Hubbard U).

total magnetization = 8.01 μB/f.u.
MP2020-corrected energy = -8.5036 eV per atom
ΔH_f (0 K) = -62.4 eV/f.u.

Cell: 5.531 6.037 8.004 Å, 88.58 88.57 86.72°
Space group P1 (No. 1)
Asymmetric unit:
Sm (0.000, 0.000, 0.000) x1
Sm (0.059, 0.206, 0.556) x1
Sm (0.525, 0.701, 0.559) x1
Sm (0.618, 0.545, 0.032) x1
Mg (0.182, 0.360, 0.154) x1
V (0.055, 0.614, 0.786) x1
V (0.058, 0.696, 0.327) x1
V (0.538, 0.128, 0.786) x1
V (0.564, 0.110, 0.295) x1
O (0.190, 0.652, 0.050) x1
O (0.236, 0.934, 0.739) x1
O (0.248, 0.938, 0.372) x1
O (0.330, 0.445, 0.359) x1
O (0.370, 0.420, 0.730) x1
O (0.414, 0.169, 0.035) x1
O (0.670, 0.076, 0.552) x1
O (0.725, 0.818, 0.845) x1
O (0.757, 0.803, 0.222) x1
O (0.857, 0.309, 0.839) x1
O (0.862, 0.288, 0.206) x1
O (0.923, 0.589, 0.542) x1